(1)
# Sm2Si5Rh3 r2SCAN relaxed
data_Sm2Si5Rh3
_symmetry_space_group_name_H-M 'P 1'
_symmetry_Int_Tables_number 1
_cell_length_a 8.1807
_cell_length_b 8.1815
_cell_length_c 8.1810
_cell_angle_alpha 138.63
_cell_angle_beta 105.61
_cell_angle_gamma 88.88
loop_
_symmetry_equiv_pos_as_xyz
'x,y,z'
loop_
_atom_site_label
_atom_site_type_symbol
_atom_site_fract_x
_atom_site_fract_y
_atom_site_fract_z
Rh1 Rh 0.9696 0.8607 0.1089
Si1 Si 0.2771 0.0270 0.7499
Sm1 Sm 0.1006 0.3687 0.7320
Rh2 Rh 0.5000 0.2499 0.7499
Rh3 Rh 0.7516 0.3607 0.3910
Si2 Si 0.7613 0.1062 0.6550
Si3 Si 0.7229 0.4727 0.7499
Si4 Si 0.4513 0.6063 0.8451
Sm2 Sm 0.8994 0.6313 0.2680
Rh4 Rh 0.5000 0.7501 0.2501
Si5 Si 0.9999 0.7499 0.7499
Rh5 Rh 0.0304 0.1393 0.8911
Sm3 Sm 0.6368 0.8688 0.7680
Si6 Si 0.2387 0.8938 0.3450
Si7 Si 0.7229 0.9730 0.2501
Rh6 Rh 0.2484 0.6393 0.6090
Si8 Si 0.5487 0.3937 0.1549
Si9 Si 0.0001 0.2501 0.2501
Sm4 Sm 0.3632 0.1312 0.2320
Si10 Si 0.2771 0.5273 0.2501
# E_form, eV per atom: -1.03

***

(2)
# Sm3Si2Rh2 r2SCAN relaxed
data_Sm3Si2Rh2
_symmetry_space_group_name_H-M 'P 1'
_symmetry_Int_Tables_number 1
_cell_length_a 5.6238
_cell_length_b 7.8987
_cell_length_c 13.2125
_cell_angle_alpha 90.00
_cell_angle_beta 90.00
_cell_angle_gamma 90.00
loop_
_symmetry_equiv_pos_as_xyz
'x,y,z'
loop_
_atom_site_label
_atom_site_type_symbol
_atom_site_fract_x
_atom_site_fract_y
_atom_site_fract_z
Si1 Si 0.1506 0.3999 0.7500
Rh1 Rh 0.3730 0.0334 0.0905
Sm1 Sm 0.6383 0.2470 0.2500
Si2 Si 0.1506 0.1001 0.2500
Rh2 Rh 0.3730 0.0334 0.4095
Sm2 Sm 0.1389 0.3896 0.3987
Rh3 Rh 0.6270 0.5334 0.0905
Rh4 Rh 0.3730 0.4666 0.9095
Sm3 Sm 0.3617 0.7470 0.2500
Sm4 Sm 0.8611 0.6103 0.8987
Sm5 Sm 0.6383 0.2530 0.7500
Sm6 Sm 0.8611 0.8896 0.1013
Rh5 Rh 0.6270 0.9666 0.5905
Si3 Si 0.8494 0.6001 0.2500
Si4 Si 0.6277 0.2500 0.5000
Sm7 Sm 0.1389 0.3896 0.1013
Sm8 Sm 0.8611 0.6103 0.6013
Rh6 Rh 0.6270 0.9666 0.9095
Rh7 Rh 0.6270 0.5334 0.4095
Si5 Si 0.3723 0.7500 0.0000
Sm9 Sm 0.1389 0.1104 0.6013
Si6 Si 0.6277 0.2500 0.0000
Sm10 Sm 0.8611 0.8896 0.3987
Si7 Si 0.3723 0.7500 0.5000
Sm11 Sm 0.3617 0.7530 0.7500
Sm12 Sm 0.1389 0.1104 0.8987
Rh8 Rh 0.3730 0.4666 0.5905
Si8 Si 0.8494 0.8999 0.7500
# E_form, eV per atom: -0.96

***

(3)
# TaSiRh r2SCAN relaxed
data_TaSiRh
_symmetry_space_group_name_H-M 'P 1'
_symmetry_Int_Tables_number 1
_cell_length_a 3.7421
_cell_length_b 6.3844
_cell_length_c 7.2936
_cell_angle_alpha 90.00
_cell_angle_beta 90.00
_cell_angle_gamma 90.00
loop_
_symmetry_equiv_pos_as_xyz
'x,y,z'
loop_
_atom_site_label
_atom_site_type_symbol
_atom_site_fract_x
_atom_site_fract_y
_atom_site_fract_z
Si1 Si 0.2500 0.7677 0.6246
Rh1 Rh 0.7500 0.3557 0.0638
Ta1 Ta 0.7500 0.9745 0.8270
Si2 Si 0.7500 0.7323 0.1246
Rh2 Rh 0.7500 0.8557 0.4362
Ta2 Ta 0.7500 0.4745 0.6730
Ta3 Ta 0.2500 0.5255 0.3270
Rh3 Rh 0.2500 0.1443 0.5638
Si3 Si 0.7500 0.2323 0.3754
Ta4 Ta 0.2500 0.0255 0.1730
Rh4 Rh 0.2500 0.6443 0.9362
Si4 Si 0.2500 0.2677 0.8754
# E_form, eV per atom: -0.88

***

(4)
# TbSi2Rh3 r2SCAN relaxed
data_TbSi2Rh3
_symmetry_space_group_name_H-M 'P 1'
_symmetry_Int_Tables_number 1
_cell_length_a 5.4942
_cell_length_b 5.4941
_cell_length_c 3.6494
_cell_angle_alpha 90.00
_cell_angle_beta 90.00
_cell_angle_gamma 120.00
loop_
_symmetry_equiv_pos_as_xyz
'x,y,z'
loop_
_atom_site_label
_atom_site_type_symbol
_atom_site_fract_x
_atom_site_fract_y
_atom_site_fract_z
Rh1 Rh 0.0000 0.5000 0.5000
Rh2 Rh 0.5000 0.5000 0.5000
Tb1 Tb 0.0000 0.0000 0.0000
Si1 Si 0.3333 0.6667 0.0000
Si2 Si 0.6667 0.3333 0.0000
Rh3 Rh 0.5000 0.0000 0.5000
# E_form, eV per atom: -1.09

***

(5)
# Th2Si3Rh r2SCAN relaxed
data_Th2Si3Rh
_symmetry_space_group_name_H-M 'P 1'
_symmetry_Int_Tables_number 1
_cell_length_a 7.6910
_cell_length_b 7.6910
_cell_length_c 7.6910
_cell_angle_alpha 149.08
_cell_angle_beta 148.06
_cell_angle_gamma 45.05
loop_
_symmetry_equiv_pos_as_xyz
'x,y,z'
loop_
_atom_site_label
_atom_site_type_symbol
_atom_site_fract_x
_atom_site_fract_y
_atom_site_fract_z
Th1 Th 0.7524 0.2524 0.5000
Si1 Si 0.5844 0.5844 0.0000
Rh1 Rh 0.1650 0.6650 0.5000
Si2 Si 0.3308 0.8308 0.5000
Si3 Si 0.4172 0.4172 0.0000
Th2 Th 0.0002 0.0002 0.0000
# E_form, eV per atom: -0.97

***

(6)
# ThSi3Rh r2SCAN relaxed
data_ThSi3Rh
_symmetry_space_group_name_H-M 'P 1'
_symmetry_Int_Tables_number 1
_cell_length_a 5.6882
_cell_length_b 5.6882
_cell_length_c 5.6882
_cell_angle_alpha 135.94
_cell_angle_beta 135.94
_cell_angle_gamma 64.08
loop_
_symmetry_equiv_pos_as_xyz
'x,y,z'
loop_
_atom_site_label
_atom_site_type_symbol
_atom_site_fract_x
_atom_site_fract_y
_atom_site_fract_z
Th1 Th 0.0000 0.0000 0.0000
Rh1 Rh 0.6556 0.6556 0.0000
Si1 Si 0.7644 0.2644 0.5000
Si2 Si 0.2644 0.7644 0.5000
Si3 Si 0.4097 0.4097 0.0000
# E_form, eV per atom: -0.83

***

(7)
# ThSi2Rh2 r2SCAN relaxed
data_ThSi2Rh2
_symmetry_space_group_name_H-M 'P 1'
_symmetry_Int_Tables_number 1
_cell_length_a 4.1079
_cell_length_b 4.1079
_cell_length_c 5.8297
_cell_angle_alpha 110.63
_cell_angle_beta 110.63
_cell_angle_gamma 90.00
loop_
_symmetry_equiv_pos_as_xyz
'x,y,z'
loop_
_atom_site_label
_atom_site_type_symbol
_atom_site_fract_x
_atom_site_fract_y
_atom_site_fract_z
Th1 Th 0.0000 0.0000 0.0000
Si1 Si 0.3782 0.3782 0.7564
Rh1 Rh 0.7500 0.2500 0.5000
Si2 Si 0.6218 0.6218 0.2436
Rh2 Rh 0.2500 0.7500 0.5000
# E_form, eV per atom: -1.14

***

(8)
# TmSi2Rh2 r2SCAN relaxed
data_TmSi2Rh2
_symmetry_space_group_name_H-M 'P 1'
_symmetry_Int_Tables_number 1
_cell_length_a 4.0179
_cell_length_b 4.0179
_cell_length_c 5.6983
_cell_angle_alpha 110.64
_cell_angle_beta 110.64
_cell_angle_gamma 90.00
loop_
_symmetry_equiv_pos_as_xyz
'x,y,z'
loop_
_atom_site_label
_atom_site_type_symbol
_atom_site_fract_x
_atom_site_fract_y
_atom_site_fract_z
Rh1 Rh 0.2500 0.7500 0.5000
Tm1 Tm 0.0000 0.0000 0.0000
Si1 Si 0.6210 0.6210 0.2420
Rh2 Rh 0.7500 0.2500 0.5000
Si2 Si 0.3790 0.3790 0.7580
# E_form, eV per atom: -1.19

***

(9)
# USi2Rh2 r2SCAN relaxed
data_USi2Rh2
_symmetry_space_group_name_H-M 'P 1'
_symmetry_Int_Tables_number 1
_cell_length_a 4.0635
_cell_length_b 4.0635
_cell_length_c 5.7377
_cell_angle_alpha 110.74
_cell_angle_beta 110.74
_cell_angle_gamma 90.00
loop_
_symmetry_equiv_pos_as_xyz
'x,y,z'
loop_
_atom_site_label
_atom_site_type_symbol
_atom_site_fract_x
_atom_site_fract_y
_atom_site_fract_z
Si1 Si 0.6194 0.6194 0.2387
Si2 Si 0.3806 0.3806 0.7613
Rh1 Rh 0.2500 0.7500 0.5000
Rh2 Rh 0.7500 0.2500 0.5000
U1 U 0.0000 0.0000 0.0000
# E_form, eV per atom: -0.97

***

(10)
# USiRh r2SCAN relaxed
data_USiRh
_symmetry_space_group_name_H-M 'P 1'
_symmetry_Int_Tables_number 1
_cell_length_a 3.9174
_cell_length_b 6.9678
_cell_length_c 7.4174
_cell_angle_alpha 89.99
_cell_angle_beta 90.00
_cell_angle_gamma 90.00
loop_
_symmetry_equiv_pos_as_xyz
'x,y,z'
loop_
_atom_site_label
_atom_site_type_symbol
_atom_site_fract_x
_atom_site_fract_y
_atom_site_fract_z
U1 U 0.2500 0.3624 0.5010
U2 U 0.7500 0.8620 0.9991
U3 U 0.7500 0.6376 0.4990
Rh1 Rh 0.7500 0.0621 0.3691
U4 U 0.2500 0.1380 0.0009
Rh2 Rh 0.2500 0.5621 0.1310
Si1 Si 0.7500 0.1284 0.6982
Rh3 Rh 0.2500 0.9379 0.6309
Si2 Si 0.7500 0.3714 0.1983
Rh4 Rh 0.7500 0.4379 0.8690
Si3 Si 0.2500 0.8716 0.3018
Si4 Si 0.2500 0.6286 0.8017
# E_form, eV per atom: -0.79

***

(11)
# YSiRh r2SCAN relaxed
data_YSiRh
_symmetry_space_group_name_H-M 'P 1'
_symmetry_Int_Tables_number 1
_cell_length_a 4.2321
_cell_length_b 6.8939
_cell_length_c 7.4042
_cell_angle_alpha 90.00
_cell_angle_beta 90.00
_cell_angle_gamma 90.00
loop_
_symmetry_equiv_pos_as_xyz
'x,y,z'
loop_
_atom_site_label
_atom_site_type_symbol
_atom_site_fract_x
_atom_site_fract_y
_atom_site_fract_z
Y1 Y 0.7500 0.5005 0.6900
Y2 Y 0.7500 0.0005 0.8100
Y3 Y 0.2500 0.4995 0.3100
Rh1 Rh 0.2500 0.6523 0.9319
Si1 Si 0.7500 0.2023 0.3965
Si2 Si 0.2500 0.7977 0.6035
Rh2 Rh 0.7500 0.8477 0.4319
Rh3 Rh 0.7500 0.3477 0.0681
Si3 Si 0.2500 0.2977 0.8965
Y4 Y 0.2500 0.9995 0.1900
Si4 Si 0.7500 0.7023 0.1035
Rh4 Rh 0.2500 0.1523 0.5681
# E_form, eV per atom: -1.11

***

(12)
# Y3Si3Rh r2SCAN relaxed
data_Y3Si3Rh
_symmetry_space_group_name_H-M 'P 1'
_symmetry_Int_Tables_number 1
_cell_length_a 5.6979
_cell_length_b 5.6979
_cell_length_c 13.5651
_cell_angle_alpha 70.66
_cell_angle_beta 70.66
_cell_angle_gamma 43.53
loop_
_symmetry_equiv_pos_as_xyz
'x,y,z'
loop_
_atom_site_label
_atom_site_type_symbol
_atom_site_fract_x
_atom_site_fract_y
_atom_site_fract_z
Y1 Y 0.7432 0.7432 0.7723
Si1 Si 0.8867 0.8867 0.0756
Y2 Y 0.5224 0.5224 0.6241
Si2 Si 0.9522 0.9522 0.2370
Rh1 Rh 0.2471 0.2471 0.5839
Y3 Y 0.4776 0.4776 0.3759
Si3 Si 0.0478 0.0478 0.7630
Y4 Y 0.6022 0.6022 0.0790
Si4 Si 0.8681 0.8681 0.5436
Rh2 Rh 0.7529 0.7529 0.4161
Si5 Si 0.1319 0.1319 0.4564
Y5 Y 0.3978 0.3978 0.9210
Y6 Y 0.2568 0.2568 0.2277
Si6 Si 0.1133 0.1133 0.9244
# E_form, eV per atom: -1.00

***

(13)
# Y2Si2Rh r2SCAN relaxed
data_Y2Si2Rh
_symmetry_space_group_name_H-M 'P 1'
_symmetry_Int_Tables_number 1
_cell_length_a 4.1978
_cell_length_b 5.7134
_cell_length_c 9.0587
_cell_angle_alpha 82.63
_cell_angle_beta 76.60
_cell_angle_gamma 68.45
loop_
_symmetry_equiv_pos_as_xyz
'x,y,z'
loop_
_atom_site_label
_atom_site_type_symbol
_atom_site_fract_x
_atom_site_fract_y
_atom_site_fract_z
Si1 Si 0.5062 0.8649 0.1228
Y1 Y 0.9968 0.3288 0.6775
Y2 Y 0.0032 0.6712 0.3225
Rh1 Rh 0.7285 0.9221 0.6209
Si2 Si 0.3576 0.7198 0.5650
Rh2 Rh 0.2715 0.0779 0.3791
Y3 Y 0.1861 0.7324 0.8954
Y4 Y 0.8139 0.2676 0.1046
Si3 Si 0.6424 0.2802 0.4350
Si4 Si 0.4938 0.1351 0.8772
# E_form, eV per atom: -1.04

***

(14)
# Y3Si3Rh2 r2SCAN relaxed
data_Y3Si3Rh2
_symmetry_space_group_name_H-M 'P 1'
_symmetry_Int_Tables_number 1
_cell_length_a 5.7242
_cell_length_b 5.7242
_cell_length_c 13.7451
_cell_angle_alpha 90.00
_cell_angle_beta 90.00
_cell_angle_gamma 137.19
loop_
_symmetry_equiv_pos_as_xyz
'x,y,z'
loop_
_atom_site_label
_atom_site_type_symbol
_atom_site_fract_x
_atom_site_fract_y
_atom_site_fract_z
Rh1 Rh 0.2140 0.7860 0.0798
Si1 Si 0.3886 0.6114 0.5394
Si2 Si 0.3353 0.6647 0.2500
Y1 Y 0.6438 0.3562 0.2500
Si3 Si 0.6114 0.3886 0.4606
Y2 Y 0.3562 0.6438 0.7500
Si4 Si 0.6647 0.3353 0.7500
Si5 Si 0.3886 0.6114 0.9606
Y3 Y 0.9200 0.0800 0.3862
Rh2 Rh 0.2140 0.7860 0.4202
Rh3 Rh 0.7860 0.2140 0.9202
Rh4 Rh 0.7860 0.2140 0.5798
Si6 Si 0.6114 0.3886 0.0394
Y4 Y 0.0800 0.9200 0.6138
Y5 Y 0.9200 0.0800 0.1138
Y6 Y 0.0800 0.9200 0.8862
# E_form, eV per atom: -1.06

***

(15)
# YSi2Rh3 r2SCAN relaxed
data_YSi2Rh3
_symmetry_space_group_name_H-M 'P 1'
_symmetry_Int_Tables_number 1
_cell_length_a 5.5260
_cell_length_b 6.5789
_cell_length_c 6.5789
_cell_angle_alpha 65.69
_cell_angle_beta 65.17
_cell_angle_gamma 65.17
loop_
_symmetry_equiv_pos_as_xyz
'x,y,z'
loop_
_atom_site_label
_atom_site_type_symbol
_atom_site_fract_x
_atom_site_fract_y
_atom_site_fract_z
Si1 Si 0.7261 0.0781 0.0781
Si2 Si 0.3822 0.4219 0.4219
Y1 Y 0.0404 0.2500 0.2500
Rh1 Rh 0.5000 0.7846 0.2154
Rh2 Rh 0.5000 0.2154 0.7846
Si3 Si 0.6178 0.5781 0.5781
Rh3 Rh 0.0000 0.2846 0.7154
Rh4 Rh 0.5000 0.0000 0.5000
Y2 Y 0.9596 0.7500 0.7500
Rh5 Rh 0.5000 0.5000 0.0000
Si4 Si 0.2739 0.9219 0.9219
Rh6 Rh 0.0000 0.7154 0.2846
# E_form, eV per atom: -1.13

***

(16)
# YSiRh2 r2SCAN relaxed
data_YSiRh2
_symmetry_space_group_name_H-M 'P 1'
_symmetry_Int_Tables_number 1
_cell_length_a 5.5256
_cell_length_b 5.5256
_cell_length_c 15.0230
_cell_angle_alpha 90.00
_cell_angle_beta 90.00
_cell_angle_gamma 120.00
loop_
_symmetry_equiv_pos_as_xyz
'x,y,z'
loop_
_atom_site_label
_atom_site_type_symbol
_atom_site_fract_x
_atom_site_fract_y
_atom_site_fract_z
Si1 Si 0.0000 0.0000 0.5000
Si2 Si 0.6667 0.3333 0.2500
Rh1 Rh 0.1662 0.3325 0.8687
Si3 Si 0.0000 0.0000 0.7500
Y1 Y 0.3333 0.6667 0.0366
Si4 Si 0.0000 0.0000 0.2500
Si5 Si 0.0000 0.0000 0.0000
Y2 Y 0.6667 0.3333 0.7500
Y3 Y 0.3333 0.6667 0.4634
Rh2 Rh 0.8338 0.1662 0.1313
Rh3 Rh 0.8338 0.6676 0.3687
Rh4 Rh 0.3324 0.1662 0.1313
Rh5 Rh 0.6675 0.8338 0.6314
Rh6 Rh 0.1662 0.3325 0.6314
Rh7 Rh 0.3324 0.1662 0.3687
Rh8 Rh 0.8338 0.6676 0.1313
Rh9 Rh 0.8338 0.1662 0.3687
Y4 Y 0.3333 0.6667 0.2500
Y5 Y 0.6667 0.3333 0.9635
Rh10 Rh 0.1662 0.8338 0.6314
Rh11 Rh 0.6675 0.8338 0.8687
Si6 Si 0.3333 0.6667 0.7500
Y6 Y 0.6667 0.3333 0.5366
Rh12 Rh 0.1662 0.8338 0.8687
# E_form, eV per atom: -1.07

***

(17)
# Sm5Rh4 r2SCAN relaxed
data_Sm5Rh4
_symmetry_space_group_name_H-M 'P 1'
_symmetry_Int_Tables_number 1
_cell_length_a 7.4309
_cell_length_b 7.5828
_cell_length_c 14.7172
_cell_angle_alpha 90.00
_cell_angle_beta 90.00
_cell_angle_gamma 90.00
loop_
_symmetry_equiv_pos_as_xyz
'x,y,z'
loop_
_atom_site_label
_atom_site_type_symbol
_atom_site_fract_x
_atom_site_fract_y
_atom_site_fract_z
Rh1 Rh 0.4559 0.4002 0.2500
Sm1 Sm 0.8390 0.6687 0.6220
Sm2 Sm 0.6610 0.1687 0.3780
Sm3 Sm 0.6610 0.1687 0.1220
Rh2 Rh 0.9559 0.0998 0.2500
Sm4 Sm 0.3390 0.8313 0.6220
Rh3 Rh 0.1795 0.5331 0.5390
Rh4 Rh 0.3043 0.1458 0.7500
Sm5 Sm 0.4901 0.3199 0.5924
Sm6 Sm 0.0099 0.8199 0.0924
Rh5 Rh 0.0441 0.9002 0.7500
Sm7 Sm 0.5099 0.6801 0.0924
Rh6 Rh 0.8205 0.4669 0.0390
Rh7 Rh 0.6795 0.9669 0.5390
Sm8 Sm 0.8390 0.6687 0.8780
Rh8 Rh 0.1795 0.5331 0.9610
Sm9 Sm 0.9901 0.1801 0.9076
Rh9 Rh 0.6957 0.8542 0.2500
Sm10 Sm 0.5099 0.6801 0.4076
Rh10 Rh 0.3205 0.0331 0.0390
Sm11 Sm 0.1610 0.3313 0.3780
Rh11 Rh 0.5441 0.5998 0.7500
Rh12 Rh 0.3205 0.0331 0.4610
Sm12 Sm 0.3390 0.8313 0.8780
Rh13 Rh 0.8205 0.4669 0.4610
Sm13 Sm 0.1774 0.4870 0.7500
Sm14 Sm 0.0099 0.8199 0.4076
Sm15 Sm 0.6774 0.0130 0.7500
Sm16 Sm 0.1610 0.3313 0.1220
Sm17 Sm 0.4901 0.3199 0.9076
Rh14 Rh 0.6795 0.9669 0.9610
Rh15 Rh 0.1957 0.6458 0.2500
Sm18 Sm 0.3226 0.9870 0.2500
Sm19 Sm 0.9901 0.1801 0.5924
Rh16 Rh 0.8043 0.3542 0.7500
Sm20 Sm 0.8226 0.5130 0.2500
# E_form, eV per atom: -0.76

***

(18)
# SmSnRh r2SCAN relaxed
data_SmSnRh
_symmetry_space_group_name_H-M 'P 1'
_symmetry_Int_Tables_number 1
_cell_length_a 7.5011
_cell_length_b 7.5011
_cell_length_c 4.0183
_cell_angle_alpha 90.00
_cell_angle_beta 90.00
_cell_angle_gamma 120.00
loop_
_symmetry_equiv_pos_as_xyz
'x,y,z'
loop_
_atom_site_label
_atom_site_type_symbol
_atom_site_fract_x
_atom_site_fract_y
_atom_site_fract_z
Sn1 Sn 0.7456 0.7456 0.0000
Sm1 Sm 0.0000 0.5898 0.5000
Rh1 Rh 0.6667 0.3333 0.0000
Rh2 Rh 0.3333 0.6667 0.0000
Rh3 Rh 0.0000 0.0000 0.5000
Sn2 Sn 0.0000 0.2544 0.0000
Sn3 Sn 0.2544 0.0000 0.0000
Sm2 Sm 0.5898 0.0000 0.5000
Sm3 Sm 0.4102 0.4102 0.5000
# E_form, eV per atom: -0.94